--- A ---
The following is a GGA+U calculation of an optimized crystal structure of Ni3As2O8, from the Materials Project database.

Structure (POSCAR):
```
Ni3As2O8
1.0
6.020 0.000 0.000
-3.010 5.696 0.000
0.000 0.000 8.287
Ni O As
6 16 4
direct
0.500 0.000 0.500
0.000 0.000 0.000
0.616 0.732 0.250
0.884 0.268 0.750
0.116 0.732 0.250
0.384 0.268 0.750
0.142 0.759 0.001
0.616 0.759 0.001
0.499 0.999 0.750
0.116 0.758 0.499
0.253 0.505 0.767
0.248 0.495 0.267
0.753 0.505 0.733
0.642 0.759 0.499
0.858 0.241 0.999
0.358 0.242 0.501
0.383 0.241 0.999
0.884 0.241 0.501
0.999 0.999 0.750
0.501 0.001 0.250
0.001 0.001 0.250
0.747 0.495 0.233
0.623 0.247 0.115
0.123 0.247 0.385
0.376 0.753 0.885
0.876 0.753 0.615
```

Its crystal system is orthorhombic.

***

--- B ---
The following is a GGA+U calculation of an optimized crystal structure of Ni3As2O8, from the Materials Project database.

Structure (POSCAR):
```
Ni3As2O8
1.0
-5.488 -4.291 -6.743
3.800 -4.426 -0.276
-4.878 -5.354 7.378
O As Ni
32 8 12
direct
0.732 0.343 0.467
0.254 0.105 0.546
0.754 0.895 0.954
0.492 0.383 0.634
0.768 0.343 0.967
0.504 0.617 0.868
0.521 0.869 0.618
0.246 0.105 0.046
0.008 0.383 0.134
0.996 0.617 0.368
0.496 0.383 0.132
0.004 0.383 0.632
0.725 0.113 0.229
0.011 0.873 0.622
0.508 0.617 0.366
0.979 0.869 0.118
0.268 0.657 0.533
0.989 0.127 0.378
0.235 0.370 0.305
0.275 0.887 0.771
0.489 0.873 0.122
0.021 0.131 0.882
0.225 0.887 0.271
0.479 0.131 0.382
0.232 0.657 0.033
0.775 0.113 0.729
0.265 0.370 0.805
0.735 0.630 0.195
0.511 0.127 0.878
0.765 0.630 0.695
0.992 0.617 0.866
0.746 0.895 0.454
0.345 0.868 0.618
0.845 0.132 0.882
0.943 0.624 0.705
0.443 0.376 0.795
0.655 0.132 0.382
0.057 0.376 0.295
0.155 0.868 0.118
0.557 0.624 0.205
0.623 0.137 0.058
0.137 0.142 0.716
0.877 0.137 0.558
0.365 0.385 0.465
0.377 0.863 0.942
0.865 0.615 0.035
0.123 0.863 0.442
0.863 0.858 0.284
0.135 0.385 0.965
0.635 0.615 0.535
0.637 0.858 0.784
0.363 0.142 0.216
```

Its crystal system is monoclinic.

***

Taking the most stable structure as the zero point, the relative energies in meV/atom are A 6; B 0.

***

--- A ---
The following is a GGA+U calculation of an optimized crystal structure of SrV2As2O10, from the Materials Project database.

Structure (POSCAR):
```
SrV2As2O10
1.0
2.373 12.897 0.000
-2.373 12.897 0.000
0.000 12.792 12.948
As O V Sr
8 40 8 4
direct
0.899 0.944 0.020
0.967 0.417 0.637
0.586 0.030 0.862
0.107 0.050 0.979
0.050 0.107 0.479
0.030 0.586 0.362
0.417 0.967 0.137
0.944 0.899 0.520
0.819 0.216 0.595
0.529 0.659 0.611
0.319 0.756 0.489
0.893 0.336 0.372
0.520 0.181 0.740
0.641 0.271 0.201
0.181 0.520 0.240
0.756 0.693 0.063
0.248 0.302 0.938
0.336 0.893 0.872
0.812 0.912 0.870
0.693 0.756 0.563
0.362 0.727 0.800
0.302 0.248 0.438
0.293 0.233 0.103
0.727 0.362 0.300
0.233 0.293 0.603
0.087 0.229 0.944
0.665 0.110 0.125
0.832 0.466 0.761
0.466 0.832 0.261
0.722 0.755 0.896
0.229 0.087 0.444
0.755 0.722 0.396
0.912 0.812 0.370
0.339 0.472 0.889
0.271 0.641 0.701
0.189 0.087 0.130
0.182 0.783 0.405
0.216 0.819 0.095
0.783 0.182 0.905
0.659 0.529 0.111
0.087 0.189 0.630
0.245 0.681 0.012
0.905 0.777 0.057
0.681 0.245 0.512
0.110 0.665 0.625
0.777 0.905 0.557
0.472 0.339 0.389
0.756 0.319 0.989
0.475 0.424 0.127
0.103 0.549 0.976
0.450 0.897 0.526
0.549 0.103 0.476
0.424 0.475 0.627
0.579 0.525 0.372
0.897 0.450 0.026
0.525 0.579 0.872
0.125 0.875 0.251
0.066 0.442 0.752
0.875 0.125 0.751
0.442 0.066 0.252
```

Its crystal system is monoclinic.

***

--- B ---
The following is a GGA+U calculation of an optimized crystal structure of SrV2As2O10, from the Materials Project database.

Structure (POSCAR):
```
SrV2As2O10
1.0
-1.263 3.761 -3.045
-1.984 -8.319 -9.450
-12.348 -1.194 3.644
O As V Sr
40 8 8 4
direct
0.517 0.201 0.302
0.756 0.267 0.967
0.313 0.556 0.545
0.483 0.687 0.777
0.897 0.634 0.650
0.397 0.866 0.350
0.256 0.233 0.033
0.744 0.733 0.467
0.017 0.299 0.698
0.187 0.444 0.045
0.328 0.348 0.853
0.983 0.813 0.223
0.094 0.602 0.894
0.687 0.056 0.955
0.678 0.478 0.945
0.906 0.102 0.606
0.822 0.522 0.445
0.094 0.105 0.390
0.020 0.787 0.010
0.517 0.187 0.723
0.322 0.978 0.555
0.520 0.713 0.990
0.980 0.287 0.490
0.483 0.701 0.198
0.983 0.799 0.802
0.244 0.767 0.533
0.906 0.605 0.110
0.813 0.944 0.455
0.172 0.652 0.353
0.103 0.134 0.850
0.480 0.213 0.510
0.406 0.398 0.394
0.178 0.022 0.055
0.828 0.152 0.147
0.406 0.895 0.890
0.672 0.848 0.647
0.594 0.395 0.610
0.594 0.898 0.106
0.603 0.366 0.150
0.017 0.313 0.277
0.235 0.239 0.781
0.265 0.761 0.281
0.735 0.261 0.219
0.959 0.533 0.997
0.041 0.033 0.503
0.541 0.467 0.497
0.459 0.967 0.003
0.765 0.739 0.719
0.226 0.256 0.403
0.493 0.348 0.993
0.507 0.848 0.507
0.274 0.744 0.903
0.774 0.756 0.097
0.007 0.652 0.493
0.726 0.244 0.597
0.993 0.152 0.007
0.738 0.007 0.767
0.262 0.507 0.733
0.238 0.493 0.233
0.762 0.993 0.267
```

Its crystal system is orthorhombic.

***

Taking the most stable structure as the zero point, the relative energies in meV/atom are A 45; B 0.

***

--- A ---
The following is a GGA+U calculation of an optimized crystal structure of CoBPH2O6, from the Materials Project database.

Structure (POSCAR):
```
CoBPH2O6
1.0
-3.983 -6.899 0.000
-3.983 6.899 0.000
0.000 0.000 -12.687
H O B Co P
12 36 6 6 6
direct
0.647 0.142 0.332
0.556 0.265 0.597
0.735 0.291 0.930
0.138 0.508 0.885
0.709 0.444 0.264
0.479 0.691 0.038
0.858 0.505 0.666
0.492 0.630 0.218
0.495 0.353 0.999
0.370 0.862 0.551
0.212 0.521 0.704
0.309 0.788 0.371
0.362 0.935 0.795
0.191 0.026 0.662
0.492 0.122 0.216
0.061 0.199 0.500
0.919 0.155 0.685
0.392 0.794 0.494
0.630 0.508 0.883
0.766 0.487 0.401
0.267 0.794 0.297
0.527 0.733 0.964
0.573 0.638 0.462
0.208 0.140 0.851
0.606 0.799 0.629
0.801 0.862 0.833
0.513 0.280 0.735
0.401 0.608 0.160
0.835 0.809 0.329
0.065 0.427 0.128
0.206 0.473 0.630
0.138 0.939 0.167
0.236 0.081 0.351
0.827 0.563 0.726
0.201 0.808 0.962
0.933 0.792 0.518
0.860 0.067 0.185
0.736 0.173 0.392
0.720 0.234 0.068
0.437 0.264 0.059
0.192 0.394 0.295
0.974 0.165 0.995
0.878 0.370 0.550
0.206 0.599 0.827
0.693 0.464 0.188
0.845 0.764 0.018
0.770 0.307 0.855
0.536 0.230 0.521
0.726 0.309 0.466
0.527 0.745 0.535
0.583 0.274 0.132
0.218 0.473 0.202
0.691 0.417 0.799
0.255 0.782 0.868
0.915 0.152 0.841
0.853 0.831 0.675
0.169 0.022 0.008
0.978 0.147 0.341
0.237 0.085 0.508
0.848 0.763 0.174
0.903 0.216 0.097
0.708 0.721 0.925
0.313 0.097 0.764
0.279 0.987 0.258
0.784 0.687 0.431
0.013 0.292 0.592
```

Its crystal system is trigonal.

***

--- B ---
The following is a GGA+U calculation of an optimized crystal structure of CoBPH2O6, from the Materials Project database.

Structure (POSCAR):
```
CoBPH2O6
1.0
-1.713 0.696 -7.336
-4.238 -4.388 4.474
-7.464 9.949 2.686
O B Co H P
36 6 6 12 6
direct
0.602 0.530 0.695
0.658 0.444 0.018
0.913 0.793 0.346
0.977 0.193 0.504
0.398 0.928 0.639
0.483 0.756 0.774
0.023 0.216 0.829
0.207 0.120 0.680
0.087 0.880 0.987
0.591 0.829 0.450
0.342 0.786 0.315
0.517 0.273 0.559
0.928 0.398 0.361
0.244 0.727 0.108
0.238 0.409 0.117
0.762 0.171 0.217
0.756 0.483 0.226
0.470 0.072 0.028
0.786 0.342 0.685
0.784 0.807 0.163
0.530 0.602 0.305
0.807 0.784 0.837
0.072 0.470 0.972
0.171 0.762 0.783
0.793 0.913 0.654
0.216 0.023 0.171
0.120 0.207 0.320
0.214 0.556 0.649
0.727 0.244 0.892
0.409 0.238 0.883
0.829 0.591 0.550
0.880 0.087 0.013
0.193 0.977 0.496
0.556 0.214 0.351
0.444 0.658 0.982
0.273 0.517 0.441
0.254 0.564 0.042
0.746 0.310 0.291
0.564 0.254 0.958
0.310 0.746 0.709
0.690 0.436 0.624
0.436 0.690 0.376
0.132 0.000 0.833
0.000 0.243 0.667
0.757 0.757 0.000
0.868 0.868 0.500
0.000 0.132 0.167
0.243 0.000 0.333
0.547 0.904 0.496
0.731 0.301 0.756
0.699 0.430 0.089
0.357 0.453 0.163
0.096 0.643 0.829
0.904 0.547 0.504
0.430 0.699 0.911
0.570 0.269 0.423
0.643 0.096 0.171
0.301 0.731 0.244
0.453 0.357 0.837
0.269 0.570 0.577
0.679 0.751 0.738
0.249 0.928 0.071
0.072 0.321 0.405
0.751 0.679 0.262
0.928 0.249 0.929
0.321 0.072 0.595
```

Its crystal system is trigonal.

***

Taking the most stable structure as the zero point, the relative energies in meV/atom are A 57; B 0.

***

--- A ---
The following is a GGA+U calculation of an optimized crystal structure of Li3CoB2O6, from the Materials Project database.

Structure (POSCAR):
```
Li3CoB2O6
1.0
8.858 0.000 0.000
0.000 5.169 0.000
0.000 4.993 9.786
O B Li Co
24 8 12 4
direct
0.830 0.176 0.416
0.546 0.692 0.619
0.685 0.634 0.149
0.954 0.692 0.119
0.025 0.152 0.638
0.525 0.848 0.862
0.208 0.135 0.167
0.475 0.152 0.138
0.815 0.634 0.649
0.330 0.824 0.084
0.975 0.848 0.362
0.185 0.366 0.351
0.792 0.865 0.833
0.315 0.366 0.851
0.171 0.694 0.905
0.170 0.824 0.584
0.292 0.135 0.667
0.708 0.865 0.333
0.454 0.308 0.381
0.829 0.306 0.095
0.670 0.176 0.916
0.329 0.694 0.405
0.671 0.306 0.595
0.046 0.308 0.881
0.824 0.545 0.121
0.324 0.455 0.379
0.835 0.966 0.371
0.335 0.034 0.129
0.176 0.455 0.879
0.676 0.545 0.621
0.665 0.966 0.871
0.165 0.034 0.629
0.510 0.925 0.399
0.661 0.450 0.382
0.010 0.075 0.101
0.490 0.075 0.601
0.523 0.506 0.832
0.977 0.506 0.332
0.477 0.494 0.168
0.339 0.550 0.618
0.990 0.925 0.899
0.839 0.450 0.882
0.023 0.494 0.668
0.161 0.550 0.118
0.167 0.971 0.376
0.333 0.971 0.876
0.833 0.029 0.624
0.667 0.029 0.124
```

Its crystal system is monoclinic.

***

--- B ---
The following is a GGA+U calculation of an optimized crystal structure of Li3CoB2O6, from the Materials Project database.

Structure (POSCAR):
```
Li3CoB2O6
1.0
-2.950 5.831 -1.469
-2.144 -2.155 -3.929
-7.421 0.486 3.882
Li O Co B
6 12 2 4
direct
0.438 0.849 0.725
0.258 0.880 0.157
0.562 0.151 0.275
0.594 0.339 0.573
0.742 0.120 0.843
0.406 0.661 0.427
0.805 0.130 0.390
0.195 0.870 0.610
0.350 0.282 0.476
0.751 0.409 0.114
0.249 0.591 0.886
0.650 0.718 0.524
0.787 0.768 0.917
0.518 0.795 0.193
0.998 0.720 0.307
0.482 0.205 0.807
0.002 0.280 0.693
0.213 0.232 0.083
0.042 0.621 0.777
0.958 0.379 0.223
0.681 0.662 0.079
0.319 0.338 0.921
0.184 0.150 0.588
0.816 0.850 0.412
```

Its crystal system is triclinic.

***

Taking the most stable structure as the zero point, the relative energies in meV/atom are A 11; B 0.